This record from the Materials Project database describes an optimized crystal structure of Na5NdW4O16. The functional is PBE+U.

extended XYZ file:
```
52
Lattice="-5.8933 5.8933 5.7756 5.8933 -5.8933 5.7756 5.8933 5.8933 -5.7756" Properties=species:S:1:pos:R:3 pbc="T T T"
Na 1.4258 -0.5294 1.8241
Na 8.3106 1.5209 1.0637
Na 7.3191 -0.5294 3.9515
Na 0.0000 2.9467 1.4439
Na 3.4761 4.3725 1.0637
Na 2.4173 1.5209 4.7119
Na 5.8933 2.9467 4.3317
Na -1.4258 6.4227 1.8241
Na -2.4173 4.3725 4.7119
Na 4.4675 6.4227 3.9515
Nd 5.8933 2.9467 -1.4439
Nd 0.0000 2.9467 7.2195
W 2.1520 1.8205 -1.2667
W 4.7672 0.7947 1.6211
W 3.7413 -1.8205 4.5089
W 4.7672 6.6880 -1.6211
W 1.1261 -0.7947 7.3967
W 2.1520 7.7138 1.2667
W 1.1261 5.0986 4.1546
W 3.7413 4.0728 7.0424
O 6.8730 0.8084 -0.7089
O 2.1574 0.3903 -0.1765
O 8.0316 -1.9670 2.1789
O 5.1711 4.3021 -3.3851
O 2.1382 -1.9670 3.5967
O 5.1711 -1.5912 3.3851
O 4.1397 -3.2695 5.5283
O 4.5379 2.2244 0.4973
O 1.7536 3.2695 -0.2473
O 3.3370 0.7892 2.7114
O 6.2162 1.1931 2.6405
O 3.3370 6.6826 -2.7114
O 7.2487 3.6689 0.4973
O 4.9136 5.0849 -0.7089
O 0.3228 1.1931 3.1351
O 3.7359 -0.3903 5.5992
O 2.1574 6.2836 0.1765
O 5.5705 4.7003 2.6405
O 0.9797 0.8084 6.4845
O -1.3554 2.2244 5.2783
O 2.5564 -0.7892 8.4870
O -0.3228 4.7003 3.1351
O 2.5564 5.1041 3.0643
O 4.1397 2.6238 6.0230
O 1.3554 3.6689 5.2783
O 1.7536 9.1628 0.2473
O 0.7223 7.4846 2.3905
O 3.7551 7.8603 2.1789
O 0.7223 1.5912 9.1607
O -2.1382 7.8603 3.5967
O 3.7359 5.5030 5.9521
O -0.9797 5.0849 6.4845
```

Results
Total magnetization = 0.00 μB per formula unit
Formation energy = -62.39 eV per formula unit
Symmetry = I4_1/a

***

This record from the Materials Project database describes an optimized crystal structure of Na2NiO2. The functional is PBE+U.

extended XYZ file:
```
20
Lattice="-2.1883 2.1883 -5.1693 4.3758 4.3758 0.0000 6.5618 -6.5618 -5.1665" Properties=species:S:1:pos:R:3 pbc="T T T"
Na 4.3744 2.1892 -7.7524
Na 4.3739 -2.1861 -7.7520
Na 2.1878 4.3758 -2.5846
Na 2.1871 0.0006 -2.5840
Na 6.5620 0.0019 -7.7520
Na 0.0000 2.1881 -2.5846
Na 4.3752 2.1887 -2.5840
Na 2.1866 0.0014 -7.7524
Ni 4.3741 0.0017 -5.1678
Ni 4.3748 -4.3748 -5.1674
Ni 8.7492 -4.3734 -5.1672
Ni -0.0004 0.0004 -5.1679
O 4.3745 0.0013 -6.8954
O 4.3741 -4.3741 -6.8949
O 2.1877 2.1881 -1.7284
O 2.1874 -2.1874 -1.7264
O 2.1860 -2.1860 -8.6091
O 6.5615 -2.1856 -8.6088
O -0.0006 0.0006 -3.4402
O 4.3748 0.0010 -3.4402
```

Results
Total magnetization = 0.00 μB per formula unit
Energy relative to the lowest polymorph listed for this composition = 0.000 eV per formula unit
Formation energy = -6.55 eV per formula unit

***

This record from the Materials Project database describes an optimized crystal structure of Na2NiO3. The functional is PBE+U.

extended XYZ file:
```
12
Lattice="2.6205 -4.5393 0.0000 2.6205 4.5393 0.0000 -1.8021 0.0000 5.3241" Properties=species:S:1:pos:R:3 pbc="T T T"
Na 0.0000 0.0000 0.0000
Na 1.7195 3.1104 2.6621
Na 1.7195 0.0000 2.6621
Na 1.7195 -3.1104 2.6621
Ni 2.6205 1.5155 0.0000
Ni 2.6205 -1.5155 0.0000
O 0.9855 1.7155 1.0524
O 0.1714 0.0000 4.2660
O 0.9855 -1.7155 1.0524
O 2.4534 1.7155 4.2717
O 3.2675 0.0000 1.0581
O 2.4534 -1.7155 4.2717
```

Results
Total magnetization = 0.00 μB per formula unit
Energy relative to the lowest polymorph listed for this composition = 0.000 eV per formula unit
Formation energy = -7.72 eV per formula unit
Symmetry = C2/m

***

This record from the Materials Project database describes an optimized crystal structure of Na3Ni2O4. The functional is PBE+U.

extended XYZ file:
```
36
Lattice="5.5517 0.0000 0.0000 0.0000 10.0685 0.0000 0.0000 0.0000 8.6074" Properties=species:S:1:pos:R:3 pbc="T T T"
Na 0.3012 0.9762 1.2845
Na 0.3012 4.0581 1.2845
Na 0.8437 2.5171 7.1041
Na 1.9322 7.5514 2.8004
Na 2.4746 6.0104 5.5882
Na 2.4746 9.0924 5.5882
Na 3.0771 0.9762 3.0193
Na 3.0771 4.0581 3.0193
Na 3.6195 2.5171 5.8070
Na 4.7081 7.5514 1.5033
Na 5.2505 6.0104 7.3230
Na 5.2505 9.0924 7.3230
Ni 0.3281 1.2336 4.1895
Ni 0.3281 3.8007 4.1895
Ni 2.4478 6.2678 8.4933
Ni 2.4478 8.8349 8.4933
Ni 3.1040 1.2336 0.1142
Ni 3.1040 3.8007 0.1142
Ni 5.2236 6.2678 4.4179
Ni 5.2236 8.8349 4.4179
O 0.6083 7.5514 5.5203
O 1.0588 5.3685 3.4109
O 1.0588 9.7343 3.4109
O 1.2274 7.5514 0.5586
O 1.5484 2.5171 4.8623
O 1.7171 0.3342 7.7146
O 1.7171 4.7000 7.7146
O 2.1676 2.5171 1.2166
O 3.3842 7.5514 7.3908
O 3.8346 5.3685 0.8928
O 3.8346 9.7343 0.8928
O 4.0033 7.5514 3.7451
O 4.3243 2.5171 8.0488
O 4.4930 0.3342 5.1965
O 4.4930 4.7000 5.1965
O 4.9434 2.5171 3.0871
```

Results
Total magnetization = 5.00 μB per formula unit
Energy relative to the lowest polymorph listed for this composition = 0.221 eV per formula unit
Formation energy = -11.36 eV per formula unit
Symmetry = Pnma